First-principles (r2SCAN) data for In3Ga after structural relaxation, as listed in the Materials Project database.

Properties
symmetry	Fm-3m, No. 225
total moment	0.00	μB per cell
raw total energy	-78.883	eV per cell
energy of formation from the pure elements	0.074	eV/atom

Lattice parameters (Å, degrees): 5.184 5.184 5.184 60.00 60.00 60.00
Atoms (fractional coordinates):
In 0.250 0.250 0.250
Ga 0.750 0.750 0.750
In 0.500 0.500 0.500
In 0.000 0.000 0.000